(1)
An optimized crystal structure of Yb5Si3, computed with r²SCAN. Values from VASP.

Output
- ΔH_f (0 K) (kJ per mole of atoms) = -77.36
- electronic total energy (eV/atom) = -26.923
- magnetization (μB per formula unit) = 0.00
- space-group type = P6_3/mcm, No. 193
- theoretical density (g/cm³) = 8.674

Geometry as Quantum ESPRESSO input:
```
&SYSTEM
  ibrav = 0, nat = 16, ntyp = 2
/
ATOMIC_SPECIES
Si 28.09 Si.upf
Yb 173.04 Yb.upf
CELL_PARAMETERS angstrom
0.000 0.000 -6.188
-4.118 -7.133 0.000
-4.118 7.133 0.000
ATOMIC_POSITIONS angstrom
Si -1.624 -2.813 -1.547
Si -2.494 -4.320 -4.641
Si -3.248 0.000 -4.641
Si -4.988 0.000 -1.547
Si -6.612 -2.813 -4.641
Si -1.624 2.813 -1.547
Yb -4.118 2.378 -3.094
Yb -6.242 0.000 -4.641
Yb -5.115 -5.406 -4.641
Yb -4.118 -2.378 -3.094
Yb -4.118 2.378 0.000
Yb -3.121 -5.406 -1.547
Yb -1.994 0.000 -1.547
Yb -0.997 -1.727 -4.641
Yb -3.121 5.406 -1.547
Yb -4.118 -2.378 0.000
```

=====

(2)
An optimized crystal structure of YbZn2Si2, computed with r²SCAN. Values from VASP.

Output
- ΔH_f (0 K) (kJ per mole of atoms) = -28.26
- electronic total energy (eV/atom) = -14.672
- magnetization (μB per formula unit) = 0.00
- space-group type = I4/mmm, No. 139
- theoretical density (g/cm³) = 7.096

Geometry as Quantum ESPRESSO input:
```
&SYSTEM
  ibrav = 0, nat = 5, ntyp = 3
/
ATOMIC_SPECIES
Yb 173.04 Yb.upf
Zn 65.41 Zn.upf
Si 28.09 Si.upf
CELL_PARAMETERS angstrom
1.531 2.112 5.527
-3.850 1.007 4.639
1.548 -4.167 -4.195
ATOMIC_POSITIONS angstrom
Yb 0.000 0.000 0.000
Zn -1.731 -0.800 2.764
Zn 0.960 -0.248 3.208
Si -0.911 1.225 3.994
Si -1.408 1.894 6.173
```

=====

(3)
An optimized crystal structure of Zr3Si2, computed with r²SCAN. Values from VASP.

Output
- ΔH_f (0 K) (kJ per mole of atoms) = -89.96
- electronic total energy (eV/atom) = -18.092
- magnetization (μB per formula unit) = 0.00
- space-group type = P4/mbm, No. 127
- theoretical density (g/cm³) = 5.847

Geometry as Quantum ESPRESSO input:
```
&SYSTEM
  ibrav = 0, nat = 10, ntyp = 2
/
ATOMIC_SPECIES
Zr 91.22 Zr.upf
Si 28.09 Si.upf
CELL_PARAMETERS angstrom
0.000 0.000 3.714
7.103 0.000 0.000
0.000 7.103 0.000
ATOMIC_POSITIONS angstrom
Zr 1.236 4.788 1.857
Zr 2.315 1.236 1.857
Zr 3.551 3.551 0.000
Zr 4.788 5.866 1.857
Zr 5.866 2.315 1.857
Zr 0.000 0.000 0.000
Si 2.686 6.237 0.000
Si 4.417 0.866 0.000
Si 0.866 2.686 0.000
Si 6.237 4.417 0.000
```

=====

(4)
An optimized crystal structure of Sm, computed with r²SCAN. Values from VASP.

Output
- ΔH_f (0 K) (kJ per mole of atoms) = 1.74
- electronic total energy (eV/atom) = -29.715
- magnetization (μB per formula unit) = 0.00
- space-group type = I4/mmm, No. 139
- theoretical density (g/cm³) = 7.380

Geometry as Quantum ESPRESSO input:
```
&SYSTEM
  ibrav = 0, nat = 1, ntyp = 1
/
ATOMIC_SPECIES
Sm 150.36 Sm.upf
CELL_PARAMETERS angstrom
3.259 0.000 -1.609
-0.794 3.161 -1.609
-0.246 -0.316 3.606
ATOMIC_POSITIONS angstrom
Sm 0.000 0.000 0.000
```

=====

(5)
An optimized crystal structure of Sm, computed with r²SCAN. Values from VASP.

Output
- ΔH_f (0 K) (kJ per mole of atoms) = 1.85
- electronic total energy (eV/atom) = -29.714
- magnetization (μB per formula unit) = 0.00
- space-group type = P6_3/mmc, No. 194
- theoretical density (g/cm³) = 7.268

Geometry as Quantum ESPRESSO input:
```
&SYSTEM
  ibrav = 0, nat = 2, ntyp = 1
/
ATOMIC_SPECIES
Sm 150.36 Sm.upf
CELL_PARAMETERS angstrom
3.699 0.000 0.000
-1.849 3.203 0.000
0.000 0.000 5.799
ATOMIC_POSITIONS angstrom
Sm 0.000 2.135 1.450
Sm 1.849 1.068 4.349
```

=====

(6)
An optimized crystal structure of Sm, computed with r²SCAN. Values from VASP.

Output
- ΔH_f (0 K) (kJ per mole of atoms) = 0.00
- electronic total energy (eV/atom) = -29.733
- magnetization (μB per formula unit) = 0.00
- space-group type = P6_3/mmc, No. 194
- theoretical density (g/cm³) = 7.387

Geometry as Quantum ESPRESSO input:
```
&SYSTEM
  ibrav = 0, nat = 4, ntyp = 1
/
ATOMIC_SPECIES
Sm 150.36 Sm.upf
CELL_PARAMETERS angstrom
3.650 0.000 0.000
-1.825 3.161 0.000
0.000 0.000 11.721
ATOMIC_POSITIONS angstrom
Sm 0.000 2.107 2.930
Sm 1.825 1.054 8.791
Sm 0.000 0.000 5.860
Sm 0.000 0.000 0.000
```

=====

(7)
An optimized crystal structure of Sm, computed with r²SCAN. Values from VASP.

Output
- ΔH_f (0 K) (kJ per mole of atoms) = 0.45
- electronic total energy (eV/atom) = -29.728
- magnetization (μB per formula unit) = 0.00
- space-group type = R-3m, No. 166
- theoretical density (g/cm³) = 7.349

Geometry as Quantum ESPRESSO input:
```
&SYSTEM
  ibrav = 0, nat = 3, ntyp = 1
/
ATOMIC_SPECIES
Sm 150.36 Sm.upf
CELL_PARAMETERS angstrom
-8.618 -0.246 -2.634
-8.097 -3.680 -1.466
-8.906 -1.031 0.934
ATOMIC_POSITIONS angstrom
Sm 0.000 0.000 0.000
Sm -19.922 -3.855 -2.461
Sm -5.700 -1.103 -0.704
```

=====

(8)
An optimized crystal structure of Sm2Sn5, computed with r²SCAN. Values from VASP.

Output
- ΔH_f (0 K) (kJ per mole of atoms) = -54.11
- electronic total energy (eV/atom) = -26.732
- magnetization (μB per formula unit) = 0.00
- space-group type = Cmmm, No. 65
- theoretical density (g/cm³) = 7.932

Geometry as Quantum ESPRESSO input:
```
&SYSTEM
  ibrav = 0, nat = 14, ntyp = 2
/
ATOMIC_SPECIES
Sm 150.36 Sm.upf
Sn 118.71 Sn.upf
CELL_PARAMETERS angstrom
-0.402 -4.368 -1.280
-2.728 -0.821 3.659
-14.003 6.321 -9.022
ATOMIC_POSITIONS angstrom
Sm -7.128 1.268 -2.091
Sm -3.340 0.165 0.485
Sm -10.005 -0.136 -4.551
Sm -13.792 0.967 -7.128
Sn -3.931 1.145 -2.674
Sn -10.473 0.808 -7.628
Sn -1.565 -2.595 1.190
Sn -7.900 2.301 -5.374
Sn -5.480 -1.454 -1.473
Sn -12.166 3.543 -8.276
Sn -6.505 -0.348 -4.928
Sn -2.239 -1.591 -2.026
Sn -11.653 2.586 -5.169
Sn 0.000 0.000 0.000
```

=====

(9)
An optimized crystal structure of SmZnSn, computed with r²SCAN. Values from VASP.

Output
- ΔH_f (0 K) (kJ per mole of atoms) = -69.96
- electronic total energy (eV/atom) = -21.855
- magnetization (μB per formula unit) = 0.00
- space-group type = P6_3/mmc, No. 194
- theoretical density (g/cm³) = 7.704

Geometry as Quantum ESPRESSO input:
```
&SYSTEM
  ibrav = 0, nat = 12, ntyp = 3
/
ATOMIC_SPECIES
Zn 65.41 Zn.upf
Sn 118.71 Sn.upf
Sm 150.36 Sm.upf
CELL_PARAMETERS angstrom
-2.136 0.642 3.905
-0.779 -3.720 -2.404
12.205 -7.689 7.939
ATOMIC_POSITIONS angstrom
Zn 0.707 -3.487 0.960
Zn 8.582 -7.279 8.480
Zn 2.932 -4.889 2.407
Zn 6.358 -5.878 7.033
Sn -0.275 -1.699 2.718
Sn 6.279 -6.997 4.585
Sn 9.565 -9.067 6.722
Sn 3.010 -3.769 4.855
Sm 6.102 -3.844 3.969
Sm 0.000 0.000 0.000
Sm 3.051 -1.922 1.985
Sm 9.154 -5.767 5.954
```

=====

(10)
An optimized crystal structure of TbSm3, computed with r²SCAN. Values from VASP.

Output
- ΔH_f (0 K) (kJ per mole of atoms) = 1.04
- electronic total energy (eV/atom) = -30.095
- magnetization (μB per formula unit) = 2.36
- space-group type = P6_3/mmc, No. 194
- theoretical density (g/cm³) = 7.325

Geometry as Quantum ESPRESSO input:
```
&SYSTEM
  ibrav = 0, nat = 8, ntyp = 2
/
ATOMIC_SPECIES
Sm 150.36 Sm.upf
Tb 158.93 Tb.upf
CELL_PARAMETERS angstrom
-2.252 6.263 3.145
-1.806 -1.468 -6.984
-4.913 -2.688 1.835
ATOMIC_POSITIONS angstrom
Sm -6.757 2.220 -0.644
Sm -5.862 2.948 2.820
Sm -4.226 2.265 -3.263
Sm -2.213 -0.113 -1.360
Sm -4.745 -0.158 1.260
Sm -3.109 -0.841 -4.823
Tb -5.639 -0.908 -2.231
Tb -3.332 3.014 0.228
```

=====

(11)
An optimized crystal structure of Tb3Sm, computed with r²SCAN. Values from VASP.

Output
- ΔH_f (0 K) (kJ per mole of atoms) = 2.88
- electronic total energy (eV/atom) = -30.823
- magnetization (μB per formula unit) = 0.00
- space-group type = I4/mmm, No. 139
- theoretical density (g/cm³) = 8.013

Geometry as Quantum ESPRESSO input:
```
&SYSTEM
  ibrav = 0, nat = 4, ntyp = 2
/
ATOMIC_SPECIES
Tb 158.93 Tb.upf
Sm 150.36 Sm.upf
CELL_PARAMETERS angstrom
-2.533 2.533 5.065
2.533 -2.533 5.065
2.533 2.533 -5.065
ATOMIC_POSITIONS angstrom
Tb 2.533 0.000 2.532
Tb 0.000 0.000 5.065
Tb 0.000 2.533 2.532
Sm 0.000 0.000 0.000
```

=====

(12)
An optimized crystal structure of Tb3Sm, computed with r²SCAN. Values from VASP.

Output
- ΔH_f (0 K) (kJ per mole of atoms) = -0.27
- electronic total energy (eV/atom) = -30.856
- magnetization (μB per formula unit) = 2.42
- space-group type = P6_3/mmc, No. 194
- theoretical density (g/cm³) = 7.746

Geometry as Quantum ESPRESSO input:
```
&SYSTEM
  ibrav = 0, nat = 8, ntyp = 2
/
ATOMIC_SPECIES
Tb 158.93 Tb.upf
Sm 150.36 Sm.upf
CELL_PARAMETERS angstrom
-4.788 -1.447 5.308
4.712 -5.131 -2.159
3.847 1.859 3.976
ATOMIC_POSITIONS angstrom
Tb 2.079 0.065 4.384
Tb 4.099 -4.056 0.073
Tb 2.041 -3.243 5.968
Tb 1.692 -4.783 2.742
Tb 1.730 -1.476 1.158
Tb -0.328 -0.663 7.053
Sm -0.659 -2.210 3.813
Sm 4.431 -2.509 3.312
```